Entry 1:
A plane-wave DFT calculation with r²SCAN was carried out for an optimized crystal structure of LuPtF7.

Cell: 8.576 5.351 11.666 Å, 90.00 117.21 90.00°
Positions (direct):
Lu1 0.185 0.239 0.265
Lu2 0.185 0.261 0.765
Lu3 0.815 0.739 0.235
Lu4 0.815 0.761 0.735
Pt1 0.271 0.741 0.043
Pt2 0.271 0.759 0.543
Pt3 0.729 0.241 0.457
Pt4 0.729 0.259 0.957
F1 0.017 0.747 0.948
F2 0.017 0.753 0.448
F3 0.032 0.588 0.733
F4 0.032 0.912 0.233
F5 0.252 0.552 0.179
F6 0.252 0.948 0.679
F7 0.273 0.070 0.456
F8 0.273 0.430 0.956
F9 0.277 0.042 0.138
F10 0.277 0.458 0.638
F11 0.297 0.563 0.413
F12 0.297 0.937 0.913
F13 0.475 0.221 0.357
F14 0.475 0.279 0.857
F15 0.525 0.721 0.143
F16 0.525 0.779 0.643
F17 0.703 0.063 0.087
F18 0.703 0.437 0.587
F19 0.723 0.542 0.362
F20 0.723 0.958 0.862
F21 0.727 0.570 0.044
F22 0.727 0.930 0.544
F23 0.748 0.052 0.321
F24 0.748 0.448 0.821
F25 0.968 0.088 0.767
F26 0.968 0.412 0.267
F27 0.983 0.247 0.552
F28 0.983 0.253 0.052

Calculated values
Total magnetization (μB/atom): 0.000
Total energy (Ry/atom): -1.1173
V (Å³/f.u.): 119.0
E_form (eV/atom): -2.818

***

Entry 2:
A plane-wave DFT calculation with r²SCAN was carried out for an optimized crystal structure of TeSeO4.

Cell: 7.441 7.441 4.417 Å, 107.11 107.11 114.62°
Positions (direct):
Te1 0.111 0.889 0.500
Te2 0.889 0.111 0.000
Se1 0.381 0.624 0.764
Se2 0.624 0.381 0.264
O1 0.042 0.948 0.885
O2 0.211 0.420 0.317
O3 0.242 0.751 0.827
O4 0.420 0.211 0.817
O5 0.578 0.801 0.680
O6 0.751 0.242 0.327
O7 0.801 0.578 0.180
O8 0.948 0.042 0.385

Calculated values
Total magnetization (μB/atom): 0.000
Total energy (Ry/atom): -0.8477
V (Å³/f.u.): 93.2
E_form (eV/atom): -0.931